A relaxed Na10Y4In4Si5S7O48 crystal. Source: the Materials Project, functional PBE.

Calculated values
Formation enthalpy at 0 K in eV per atom: -2.519
Space group: No. 1
Volume in Å³ per atom: 14.7

abc: 9.276 16.016 23.219
angles: 90.81 90.11 90.09
Sites, in units of the cell vectors:
Na 0.000 0.000 0.000
Na 0.002 0.664 0.336
Na 0.023 0.989 0.651
Na 0.042 0.306 0.989
Na 0.048 0.640 0.638
Na 0.161 0.147 0.146
Na 0.164 0.801 0.489
Na 0.187 0.494 0.153
Na 0.210 0.832 0.169
Na 0.219 0.168 0.838
Na 0.324 0.641 0.570
Na 0.336 0.977 0.243
Na 0.353 0.324 0.903
Na 0.357 0.323 0.403
Na 0.383 0.967 0.736
Na 0.423 0.637 0.074
Na 0.497 0.167 0.336
Na 0.498 0.833 0.666
Na 0.527 0.495 0.651
Na 0.552 0.149 0.637
Na 0.670 0.306 0.488
Na 0.706 0.667 0.837
Na 0.727 0.332 0.172
Na 0.824 0.815 0.909
Na 0.826 0.476 0.240
Na 0.827 0.144 0.566
Na 0.858 0.821 0.403
Na 0.863 0.153 0.077
Na 0.888 0.469 0.740
Na 0.993 0.333 0.666
Y 0.349 0.664 0.722
Y 0.351 0.656 0.421
Y 0.352 0.327 0.055
Y 0.356 0.995 0.086
Y 0.364 0.996 0.584
Y 0.365 0.988 0.886
Y 0.371 0.664 0.923
Y 0.846 0.499 0.090
Y 0.851 0.167 0.722
Y 0.855 0.833 0.755
Y 0.857 0.496 0.888
Y 0.859 0.823 0.551
In 0.352 0.338 0.751
In 0.357 0.994 0.386
In 0.364 0.321 0.552
In 0.364 0.334 0.254
In 0.367 0.664 0.225
In 0.844 0.159 0.418
In 0.852 0.828 0.055
In 0.859 0.487 0.385
In 0.865 0.162 0.221
In 0.865 0.490 0.584
In 0.870 0.832 0.255
In 0.871 0.167 0.918
Si 0.001 0.639 0.483
Si 0.003 0.974 0.151
Si 0.027 0.315 0.820
Si 0.059 0.325 0.156
Si 0.161 0.825 0.648
Si 0.203 0.146 0.983
Si 0.208 0.470 0.649
Si 0.208 0.812 0.321
Si 0.502 0.480 0.159
Si 0.506 0.147 0.483
Si 0.516 0.812 0.816
Si 0.652 0.329 0.649
Si 0.700 0.310 0.320
Si 0.707 0.978 0.652
Si 0.712 0.652 0.986
S 0.008 0.011 0.822
S 0.009 0.338 0.486
S 0.012 0.681 0.158
S 0.052 0.658 0.821
S 0.053 0.996 0.484
S 0.155 0.158 0.321
S 0.160 0.493 0.991
S 0.201 0.507 0.317
S 0.201 0.841 0.990
S 0.210 0.178 0.656
S 0.507 0.843 0.484
S 0.509 0.176 0.158
S 0.509 0.507 0.818
S 0.559 0.162 0.823
S 0.562 0.825 0.157
S 0.563 0.491 0.489
S 0.666 0.661 0.319
S 0.667 0.996 0.986
S 0.708 0.339 0.987
S 0.709 0.011 0.318
S 0.709 0.672 0.655
O 0.022 0.151 0.986
O 0.028 0.813 0.319
O 0.033 0.487 0.644
O 0.040 0.507 0.319
O 0.042 0.848 0.990
O 0.046 0.836 0.701
O 0.051 0.167 0.661
O 0.053 0.487 0.944
O 0.057 0.157 0.371
O 0.072 0.812 0.587
O 0.075 0.150 0.266
O 0.084 0.495 0.048
O 0.131 0.004 0.540
O 0.135 0.654 0.766
O 0.147 0.308 0.095
O 0.149 0.655 0.870
O 0.157 0.984 0.436
O 0.167 0.331 0.490
O 0.169 0.012 0.823
O 0.173 0.333 0.210
O 0.173 0.682 0.161
O 0.180 0.651 0.485
O 0.183 0.985 0.149
O 0.206 0.314 0.819
O 0.210 0.410 0.705
O 0.234 0.232 0.605
O 0.240 0.088 0.040
O 0.240 0.552 0.263
O 0.244 0.751 0.374
O 0.245 0.235 0.323
O 0.248 0.755 0.984
O 0.250 0.416 0.987
O 0.251 0.568 0.986
O 0.252 0.894 0.941
O 0.256 0.096 0.925
O 0.257 0.085 0.323
O 0.258 0.421 0.319
O 0.261 0.553 0.368
O 0.262 0.877 0.045
O 0.262 0.910 0.648
O 0.263 0.741 0.653
O 0.270 0.240 0.985
O 0.272 0.094 0.647
O 0.274 0.771 0.260
O 0.276 0.213 0.709
O 0.280 0.906 0.327
O 0.286 0.426 0.594
O 0.288 0.562 0.657
O 0.415 0.572 0.165
O 0.421 0.437 0.104
O 0.434 0.242 0.482
O 0.435 0.760 0.481
O 0.440 0.093 0.150
O 0.443 0.904 0.821
O 0.450 0.097 0.424
O 0.450 0.553 0.868
O 0.451 0.210 0.214
O 0.453 0.883 0.538
O 0.454 0.420 0.820
O 0.458 0.747 0.865
O 0.459 0.090 0.826
O 0.464 0.751 0.158
O 0.466 0.893 0.433
O 0.467 0.099 0.543
O 0.467 0.549 0.764
O 0.467 0.901 0.156
O 0.470 0.771 0.753
O 0.471 0.415 0.487
O 0.472 0.239 0.823
O 0.473 0.231 0.110
O 0.474 0.567 0.484
O 0.493 0.419 0.215
O 0.520 0.312 0.319
O 0.533 0.995 0.648
O 0.536 0.661 0.988
O 0.539 0.346 0.703
O 0.548 0.013 0.321
O 0.551 0.329 0.990
O 0.551 0.658 0.658
O 0.567 0.303 0.589
O 0.573 0.664 0.371
O 0.573 0.987 0.935
O 0.579 0.651 0.266
O 0.579 0.999 0.039
O 0.641 0.154 0.768
O 0.641 0.497 0.545
O 0.648 0.819 0.104
O 0.653 0.829 0.210
O 0.658 0.162 0.874
O 0.664 0.833 0.484
O 0.665 0.482 0.440
O 0.668 0.168 0.159
O 0.670 0.507 0.821
O 0.676 0.490 0.152
O 0.685 0.158 0.483
O 0.692 0.812 0.824
O 0.727 0.918 0.708
O 0.731 0.251 0.377
O 0.737 0.727 0.605
O 0.748 0.390 0.937
O 0.752 0.060 0.268
O 0.752 0.415 0.645
O 0.754 0.740 0.317
O 0.755 0.074 0.983
O 0.759 0.923 0.314
O 0.760 0.249 0.658
O 0.762 0.612 0.923
O 0.763 0.266 0.261
O 0.765 0.591 0.037
O 0.765 0.712 0.709
O 0.767 0.379 0.041
O 0.768 0.589 0.321
O 0.768 0.924 0.987
O 0.772 0.404 0.326
O 0.773 0.045 0.373
O 0.775 0.929 0.596
O 0.780 0.256 0.983
O 0.781 0.590 0.649
O 0.787 0.746 0.993
O 0.792 0.068 0.656
O 0.935 0.735 0.480
O 0.937 0.068 0.161
O 0.940 0.936 0.090
O 0.941 0.254 0.480
O 0.944 0.374 0.540
O 0.946 0.712 0.213
O 0.950 0.051 0.876
O 0.950 0.585 0.820
O 0.952 0.241 0.158
O 0.953 0.407 0.827
O 0.953 0.589 0.424
O 0.955 0.593 0.544
O 0.955 0.925 0.821
O 0.960 0.410 0.154
O 0.962 0.059 0.771
O 0.962 0.919 0.484
O 0.963 0.071 0.477
O 0.963 0.735 0.822
O 0.965 0.271 0.760
O 0.967 0.593 0.150
O 0.972 0.735 0.109
O 0.973 0.390 0.436
O 0.986 0.905 0.202
O 0.995 0.254 0.876